Computed, not measured: crystalline NaLaTaP3O12 at its relaxed geometry at the PBE level of DFT.

Values from the calculation:
corrected total energy (MP2020 scheme): -8.219 eV per atom
energy of formation: -3.011 eV per atom

abc: 9.1901 9.1901 23.2073
angles: 90.00 90.00 120.00
Closest atoms and distances in Å follow each position.
Element x y z (fractional)
1 Na 0.0000 0.0000 0.5043  3 O 2.47
2 Na 0.0000 0.0000 0.0043  3 O 2.47
3 Na 0.6667 0.3333 0.8376  3 O 2.47
4 Na 0.6667 0.3333 0.3376  3 O 2.47
5 Na 0.3333 0.6667 0.1710  3 O 2.47
6 Na 0.3333 0.6667 0.6710  3 O 2.47
7 La 0.0000 0.0000 0.3580  6 O 2.28-2.35
8 La 0.0000 0.0000 0.8580  6 O 2.28-2.35
9 La 0.6667 0.3333 0.6913  6 O 2.28-2.35
10 La 0.6667 0.3333 0.1913  6 O 2.28-2.35
11 La 0.3333 0.6667 0.0247  6 O 2.28-2.35
12 La 0.3333 0.6667 0.5247  6 O 2.28-2.35
13 Ta 0.0000 0.0000 0.6482  6 O 2.01-2.07
14 Ta 0.0000 0.0000 0.1482  6 O 2.01-2.07
15 Ta 0.6667 0.3333 0.9815  6 O 2.01-2.07
16 Ta 0.6667 0.3333 0.4815  6 O 2.01-2.07
17 Ta 0.3333 0.6667 0.3148  6 O 2.01-2.07
18 Ta 0.3333 0.6667 0.8148  6 O 2.01-2.07
19 P 0.2743 0.9657 0.2497  4 O 1.50-1.62
20 P 0.6914 0.7257 0.2497  4 O 1.50-1.62
21 P 0.0343 0.3086 0.2497  4 O 1.50-1.62
22 P 0.2743 0.3086 0.7497  4 O 1.50-1.62
23 P 0.0343 0.7257 0.7497  4 O 1.50-1.62
24 P 0.6914 0.9657 0.7497  4 O 1.50-1.62
25 P 0.9410 0.2990 0.5830  4 O 1.50-1.62
26 P 0.3580 0.0590 0.5830  4 O 1.50-1.62
27 P 0.7010 0.6420 0.5830  4 O 1.50-1.62
28 P 0.9410 0.6420 0.0830  4 O 1.50-1.62
29 P 0.7010 0.0590 0.0830  4 O 1.50-1.62
30 P 0.3580 0.2990 0.0830  4 O 1.50-1.62
31 P 0.6077 0.6324 0.9163  4 O 1.50-1.62
32 P 0.0247 0.3923 0.9163  4 O 1.50-1.62
33 P 0.3676 0.9753 0.9163  4 O 1.50-1.62
34 P 0.6077 0.9753 0.4163  4 O 1.50-1.62
35 P 0.3676 0.3923 0.4163  4 O 1.50-1.62
36 P 0.0247 0.6324 0.4163  4 O 1.50-1.62
37 O 0.2046 0.9938 0.3043  1 P 1.50
38 O 0.7891 0.7954 0.3043  1 P 1.50
39 O 0.0062 0.2109 0.3043  1 P 1.50
40 O 0.2046 0.2109 0.8043  1 P 1.50
41 O 0.0062 0.7954 0.8043  1 P 1.50
42 O 0.7891 0.9938 0.8043  1 P 1.50
43 O 0.7991 0.9557 0.6961  1 P 1.62
44 O 0.1566 0.2009 0.6961  1 P 1.62
45 O 0.0443 0.8434 0.6961  1 P 1.62
46 O 0.7991 0.8434 0.1961  1 P 1.62
47 O 0.0443 0.2009 0.1961  1 P 1.62
48 O 0.1566 0.9557 0.1961  1 P 1.62
49 O 0.8713 0.3271 0.6376  1 P 1.50
50 O 0.4558 0.1287 0.6376  1 P 1.50
51 O 0.6729 0.5442 0.6376  1 P 1.50
52 O 0.8713 0.5442 0.1376  1 P 1.50
53 O 0.6729 0.1287 0.1376  1 P 1.50
54 O 0.4558 0.3271 0.1376  1 P 1.50
55 O 0.4657 0.2890 0.0294  1 P 1.62
56 O 0.8233 0.5343 0.0294  1 P 1.62
57 O 0.7110 0.1767 0.0294  1 P 1.62
58 O 0.4657 0.1767 0.5294  1 P 1.62
59 O 0.7110 0.5343 0.5294  1 P 1.62
60 O 0.8233 0.2890 0.5294  1 P 1.62
61 O 0.5380 0.6604 0.9710  1 P 1.50
62 O 0.1225 0.4620 0.9710  1 P 1.50
63 O 0.3396 0.8775 0.9710  1 P 1.50
64 O 0.5380 0.8775 0.4710  1 P 1.50
65 O 0.3396 0.4620 0.4710  1 P 1.50
66 O 0.1225 0.6604 0.4710  1 P 1.50
67 O 0.1324 0.6224 0.3627  1 P 1.62
68 O 0.4900 0.8676 0.3627  1 P 1.62
69 O 0.3776 0.5100 0.3627  1 P 1.62
70 O 0.1324 0.5100 0.8627  1 P 1.62
71 O 0.3776 0.8676 0.8627  1 P 1.62
72 O 0.4900 0.6224 0.8627  1 P 1.62
73 O 0.9777 0.7676 0.4082  1 P 1.52
74 O 0.7898 0.0223 0.4082  1 P 1.52
75 O 0.2324 0.2102 0.4082  1 P 1.52
76 O 0.9777 0.2102 0.9082  1 P 1.52
77 O 0.2324 0.0223 0.9082  1 P 1.52
78 O 0.7898 0.7676 0.9082  1 P 1.52
79 O 0.9355 0.1242 0.5882  1 P 1.59
80 O 0.1887 0.0645 0.5882  1 P 1.59
81 O 0.8758 0.8113 0.5882  1 P 1.59
82 O 0.9355 0.8113 0.0882  1 P 1.59
83 O 0.8758 0.0645 0.0882  1 P 1.59
84 O 0.1887 0.1242 0.0882  1 P 1.59
85 O 0.6444 0.1009 0.7416  1 P 1.52
86 O 0.4565 0.3556 0.7416  1 P 1.52
87 O 0.8991 0.5435 0.7416  1 P 1.52
88 O 0.6444 0.5435 0.2416  1 P 1.52
89 O 0.8991 0.3556 0.2416  1 P 1.52
90 O 0.4565 0.1009 0.2416  1 P 1.52
91 O 0.6022 0.4575 0.9216  1 P 1.59
92 O 0.8554 0.3978 0.9216  1 P 1.59
93 O 0.5425 0.1446 0.9216  1 P 1.59
94 O 0.6022 0.1446 0.4216  1 P 1.59
95 O 0.5425 0.3978 0.4216  1 P 1.59
96 O 0.8554 0.4575 0.4216  1 P 1.59
97 O 0.3111 0.4342 0.0749  1 P 1.52
98 O 0.1232 0.6889 0.0749  1 P 1.52
99 O 0.5658 0.8768 0.0749  1 P 1.52
100 O 0.3111 0.8768 0.5749  1 P 1.52
101 O 0.5658 0.6889 0.5749  1 P 1.52
102 O 0.1232 0.4342 0.5749  1 P 1.52
103 O 0.2688 0.7908 0.2549  1 P 1.59
104 O 0.5220 0.7312 0.2549  1 P 1.59
105 O 0.2092 0.4780 0.2549  1 P 1.59
106 O 0.2688 0.4780 0.7549  1 P 1.59
107 O 0.2092 0.7312 0.7549  1 P 1.59
108 O 0.5220 0.7908 0.7549  1 P 1.59

---

Computed, not measured: crystalline HoAgSe2 at its relaxed geometry at the PBE level of DFT.

Values from the calculation:
corrected total energy (MP2020 scheme): -5.001 eV per atom
energy of formation: -1.399 eV per atom

abc: 8.0701 10.8684 7.2751
angles: 28.88 56.26 41.99
Closest atoms and distances in Å follow each position.
Element x y z (fractional)
1 Ho 0.9994 0.9949 0.0041  6 Se 2.85-2.87
2 Ho 0.7514 0.4931 0.0054  6 Se 2.85-2.86
3 Ag 0.2450 0.5021 0.9974  5 Se 2.85-3.19
4 Ag 0.4996 0.0055 0.9974  5 Se 2.83-3.17
5 Se 0.9882 0.4940 0.5321  3 Ho 2.85-2.87, 3 Ag 2.86-3.19
6 Se 0.5137 0.5023 0.4696  2 Ag 2.83-2.89, 3 Ho 2.85-2.86
7 Se 0.2362 0.9959 0.5309  3 Ag 2.85-3.17, 3 Ho 2.85-2.86
8 Se 0.7606 0.9978 0.4739  2 Ag 2.85-2.87, 3 Ho 2.86

---

Computed, not measured: crystalline NbSb3O8 at its relaxed geometry at the PBE level of DFT.

Values from the calculation:
corrected total energy (MP2020 scheme): -7.348 eV per atom
energy of formation: -2.175 eV per atom

abc: 5.5862 4.9683 12.9071
angles: 67.67 90.00 90.00
Closest atoms and distances in Å follow each position.
Element x y z (fractional)
1 Nb 0.6216 0.0729 0.4255  6 O 1.92-2.11
2 Nb 0.3784 0.0729 0.9255  6 O 1.92-2.11
3 Sb 0.8794 0.5620 0.9308  6 O 1.97-2.08
4 Sb 0.1206 0.5620 0.4308  6 O 1.97-2.08
5 Sb 0.2257 0.3685 0.1793  3 O 2.05-2.19
6 Sb 0.2827 0.7811 0.6766  3 O 2.06-2.14
7 Sb 0.7743 0.3685 0.6793  3 O 2.05-2.19
8 Sb 0.7173 0.7811 0.1766  3 O 2.06-2.14
9 O 0.9023 0.5784 0.0887  3 Sb 2.06-2.19
10 O 0.5969 0.7455 0.5875  2 Sb 2.05-2.14, 1 Nb 2.11
11 O 0.0977 0.5784 0.5887  3 Sb 2.06-2.19
12 O 0.4031 0.7455 0.0875  2 Sb 2.05-2.14, 1 Nb 2.11
13 O 0.9320 0.5664 0.7750  2 Sb 2.02-2.05
14 O 0.5681 0.3844 0.2761  1 Nb 1.98, 1 Sb 2.07
15 O 0.0680 0.5664 0.2750  2 Sb 2.02-2.05
16 O 0.4319 0.3844 0.7761  1 Nb 1.98, 1 Sb 2.07
17 O 0.1070 0.9030 0.8815  1 Nb 1.92, 1 Sb 2.02
18 O 0.3901 0.8362 0.3771  1 Sb 1.97, 1 Nb 2.00
19 O 0.8930 0.9030 0.3815  1 Nb 1.92, 1 Sb 2.02
20 O 0.6099 0.8362 0.8771  1 Sb 1.97, 1 Nb 2.00
21 O 0.1703 0.3104 0.9859  1 Sb 2.01, 1 Nb 2.01
22 O 0.3307 0.2172 0.4901  1 Sb 1.98, 1 Nb 2.08
23 O 0.8297 0.3104 0.4859  1 Sb 2.01, 1 Nb 2.01
24 O 0.6693 0.2172 0.9901  1 Sb 1.98, 1 Nb 2.08

---

Computed, not measured: crystalline YTi3Se2ClO8 at its relaxed geometry at the PBE level of DFT.

Values from the calculation:
corrected total energy (MP2020 scheme): -7.814 eV per atom
energy of formation: -2.576 eV per atom

abc: 6.9156 7.1859 10.4889
angles: 85.24 84.30 81.65
Closest atoms and distances in Å follow each position.
Element x y z (fractional)
1 Y 0.2426 0.7376 0.2352  6 O 2.23-2.46
2 Y 0.7323 0.2400 0.7383  6 O 2.20-2.46
3 Ti 0.9479 0.5041 0.0545  3 O 1.72-1.92
4 Ti 0.9903 0.5100 0.5033  2 O 1.72-1.90
5 Ti 0.9624 0.0735 0.0095  2 O 1.72-1.82
6 Ti 0.2952 0.3487 0.8236  2 O 1.77-1.79
7 Ti 0.6954 0.7748 0.2857  1 O 1.71
8 Ti 0.9231 0.0177 0.4618  1 O 1.73
9 Se 0.6321 0.2774 0.1214  1 Se 2.41
10 Se 0.5905 0.8232 0.9485  3 O 1.72-1.79
11 Se 0.6162 0.1287 0.3356  1 Se 2.41, 2 Ti 2.60-2.61
12 Se 0.6198 0.7903 0.6611  2 O 1.79-1.84
13 Cl 0.2042 0.5900 0.6575  2 Ti 2.42-2.45
14 Cl 0.0902 0.2342 0.1788  2 Ti 2.39-2.49
15 O 0.9238 0.6725 0.1784  2 Ti 1.83-1.94
16 O 0.5468 0.8256 0.1198  1 Se 1.79
17 O 0.4250 0.1793 0.7194  1 Ti 1.79
18 O 0.1700 0.5259 0.9698  1 Ti 1.72
19 O 0.7536 0.5592 0.6490  1 Se 1.79
20 O 0.8136 0.9435 0.6382  1 Se 1.84, 1 Ti 1.99
21 O 0.0263 0.2419 0.8780  1 Ti 1.82
22 O 0.1560 0.9016 0.0409  1 Ti 1.72
23 O 0.1510 0.9415 0.3860  1 Ti 1.73
24 O 0.7589 0.9903 0.9129  1 Se 1.78, 1 Ti 2.00
25 O 0.8529 0.7500 0.4278  3 Ti 1.91-2.12
26 O 0.9270 0.2599 0.5328  2 Ti 1.90-1.95
27 O 0.7628 0.6254 0.9388  1 Se 1.72, 1 Ti 1.92
28 O 0.1601 0.4975 0.3723  1 Ti 1.72
29 O 0.5185 0.3880 0.8780  1 Ti 1.77
30 O 0.5112 0.6474 0.3429  1 Ti 1.71

---

Computed, not measured: crystalline ScSn3 at its relaxed geometry at the PBE level of DFT.

Values from the calculation:
energy of formation: -0.258 eV per atom

abc: 5.9453 5.9453 5.9453
angles: 136.13 136.13 63.78
Closest atoms and distances in Å follow each position.
Element x y z (fractional)
1 Sc 0.0000 0.0000 0.0000  12 Sn 3.14-3.36
2 Sn 0.7500 0.2500 0.5000  8 Sn 3.14-3.36, 4 Sc 3.36
3 Sn 0.2500 0.7500 0.5000  8 Sn 3.14-3.36, 4 Sc 3.36
4 Sn 0.5000 0.5000 0.0000  4 Sc 3.14, 8 Sn 3.36

---

Computed, not measured: crystalline V5B6 at its relaxed geometry at the PBE level of DFT.

Values from the calculation:
energy of formation: -0.830 eV per atom

abc: 10.7246 10.7246 3.0459
angles: 90.00 90.00 164.02
Closest atoms and distances in Å follow each position.
Element x y z (fractional)
1 V 0.8057 0.1943 0.5000  7 B 2.24-2.33
2 V 0.1943 0.8057 0.5000  7 B 2.24-2.33
3 V 0.6166 0.3834 0.0000  7 B 2.22-2.33
4 V 0.3834 0.6166 0.0000  7 B 2.22-2.33
5 V 0.0000 0.0000 0.0000  12 B 2.30-2.36
6 B 0.9153 0.0847 0.5000  2 B 1.76
7 B 0.0847 0.9153 0.5000  2 B 1.76
8 B 0.5408 0.4592 0.5000  3 B 1.73-1.76
9 B 0.4592 0.5408 0.5000  3 B 1.73-1.76
10 B 0.7263 0.2737 0.0000  2 B 1.80
11 B 0.2737 0.7263 0.0000  2 B 1.80

---

- energy of formation of number 1 (NaLaTaP3O12)?
  -3.011 eV per atom